# RbNaMg14

A relaxed RbNaMg14 crystal (PBE, the Materials Project).

Unit cell a=6.737 b=6.737 c=10.546 alpha=90.00 beta=90.00 gamma=120.00
Atoms (fractional coordinates):
Mg 0.342 0.683 0.365
Mg 0.665 0.331 0.125
Mg 0.665 0.835 0.125
Mg 0.817 0.158 0.885
Mg 0.173 0.836 0.625
Mg 0.817 0.158 0.365
Mg 0.833 0.667 0.378
Mg 0.342 0.158 0.365
Mg 0.664 0.836 0.625
Mg 0.342 0.683 0.885
Mg 0.169 0.835 0.125
Mg 0.833 0.667 0.872
Mg 0.342 0.158 0.885
Mg 0.664 0.327 0.625
Na 0.167 0.333 0.125
Rb 0.167 0.333 0.625

* excess energy over the best structure of this formula in the dataset: 20 meV/atom
* symmetry: P-6m2 (187)
* total magnetization: 0.02 μB/cell
* calculated formation energy: 160 meV/atom
* calculated volume: 414.5 Å³/cell
* crystal system: hexagonal
* uncorrected energy: -1.38 eV/atom